First-principles (GGA-PBE) data for an optimized crystal structure of EuN2, as listed in the Materials Project database.

Cell: 6.7669 6.7669 6.7669 Å, 140.85 140.85 56.57°
Element x y z (fractional)
1 Eu 0.3750 0.6250 0.7500
2 Eu 0.6250 0.3750 0.2500
3 N 0.1779 0.4279 0.7500
4 N 0.4279 0.1779 0.2500
5 N 0.5721 0.8221 0.7500
6 N 0.8221 0.5721 0.2500

Computed properties:
Total energy = -8.015 eV/atom
Total magnetization = 6.10 μB per cell

First-principles (GGA-PBE) data for an optimized crystal structure of EuN, as listed in the Materials Project database.

Cell: 3.5913 3.5913 3.5913 Å, 60.00 60.00 60.00°
Element x y z (fractional)
1 Eu 0.0000 0.0000 0.0000
2 N 0.5000 0.5000 0.5000

Computed properties:
Total energy = -10.124 eV/atom

First-principles (GGA-PBE) data for an optimized crystal structure of EuNbNO2, as listed in the Materials Project database.

Cell: 4.0543 4.0543 4.1051 Å, 90.00 90.00 90.00°
Element x y z (fractional)
1 Eu 0.0000 0.0000 0.0000
2 Nb 0.5000 0.5000 0.5000
3 N 0.5000 0.5000 0.0000
4 O 0.0000 0.5000 0.5000
5 O 0.5000 0.0000 0.5000

Computed properties:
Total energy = -9.857 eV/atom
Total magnetization = 6.87 μB per cell